TeN2 | PBE | relaxed

## Properties
energy of formation from the pure elements: 1.09 eV per atom
relative energy among the computed polymorphs: 0 meV/atom

Cell: 10.9021 4.0384 4.0366 Å, 90.00 111.44 90.00°
Closest atoms and distances in Å follow each position.
Space group C2/m (No. 12)
One atom of each set of equivalent atoms:
Te  0.1252  0.0000  0.3743  6 N 2.04-2.08
N  0.0761  0.0000  0.8248  3 Te 2.04-2.08
N  0.1738  0.5000  0.4101  3 Te 2.04-2.08